# Ba4Pt3O9

An optimized crystal structure of Ba4Pt3O9 (PBE-GGA, the Materials Project).

formation energy: -33.2 eV/f.u.
calculated density: 7.99 Mg/m³
corrected total energy (MP2020 scheme): -6.4765 eV per atom
E_tot: -292.323 eV per cell
energy relative to the lowest polymorph listed for this composition: 0 meV per atom

Structure (POSCAR):
```
Ba4Pt3O9
1.0
8.762 0.000 0.000
0.033 10.196 0.000
0.010 5.033 8.919
Ba Pt O
12 9 27
direct
0.000 0.000 0.000
0.000 0.331 0.312
0.242 0.663 0.325
0.245 0.338 0.992
0.251 0.010 0.663
0.496 0.028 0.994
0.496 0.325 0.337
0.498 0.682 0.636
0.746 0.010 0.674
0.747 0.644 0.326
0.748 0.357 0.976
0.997 0.705 0.659
0.089 0.003 0.335
0.162 0.663 0.002
0.332 0.340 0.668
0.411 0.002 0.336
0.500 0.738 0.926
0.655 0.338 0.670
0.751 0.003 0.257
0.840 0.659 0.003
0.994 0.415 0.592
0.001 0.663 0.151
0.004 0.518 0.989
0.176 0.336 0.523
0.176 0.495 0.660
0.219 0.175 0.842
0.248 0.997 0.182
0.249 0.855 0.481
0.250 0.152 0.329
0.278 0.493 0.171
0.315 0.668 0.848
0.319 0.809 0.004
0.492 0.493 0.503
0.493 0.191 0.670
0.493 0.353 0.811
0.521 0.004 0.510
0.565 0.152 0.185
0.569 0.855 0.332
0.681 0.805 0.008
0.687 0.670 0.846
0.726 0.481 0.171
0.770 0.169 0.843
0.808 0.496 0.659
0.812 0.330 0.526
0.933 0.854 0.333
0.937 0.149 0.177
0.976 0.012 0.506
0.998 0.824 0.851
```